Computed, not measured: an optimized crystal structure of Ca11AlSi3ClO18 at the PBE level of DFT.

Unit cell a=8.851 b=15.019 c=14.943 alpha=90.00 beta=90.00 gamma=90.00
Space group Fmm2 (No. 42)
Inequivalent atoms, fractional coordinates:
Ca 0.000 0.000 0.000
Ca 0.000 0.250 0.246
Ca 0.204 0.128 0.366
Ca 0.209 0.127 0.625
Al 0.000 0.000 0.207
Si 0.000 0.000 0.785
Si 0.000 0.212 0.996
Cl 0.000 0.000 0.495
O 0.000 0.091 0.723
O 0.000 0.098 0.273
O 0.000 0.226 0.588
O 0.000 0.227 0.406
O 0.150 0.000 0.852
O 0.152 0.147 0.996
O 0.159 0.000 0.134
O 0.250 0.250 0.247

Summary:
Its formation energy is -3.37 eV per atom.


Computed, not measured: an optimized crystal structure of Ca3Al4Si8Cl2O24 at the PBE level of DFT.

Unit cell a=9.417 b=9.486 c=9.574 alpha=95.55 beta=94.21 gamma=95.18
Space group P1 (No. 1)
Inequivalent atoms, fractional coordinates:
Ca 0.000 0.000 0.000
Ca 0.197 0.229 0.260
Ca 0.459 0.461 0.441
Al 0.102 0.574 0.316
Al 0.320 0.136 0.541
Al 0.338 0.908 0.093
Al 0.888 0.139 0.315
Si 0.103 0.920 0.314
Si 0.108 0.358 0.876
Si 0.111 0.368 0.540
Si 0.322 0.127 0.878
Si 0.326 0.559 0.092
Si 0.543 0.342 0.083
Si 0.545 0.133 0.302
Si 0.889 0.357 0.094
Cl 0.638 0.482 0.641
Cl 0.860 0.801 0.856
O 0.008 0.254 0.431
O 0.090 0.359 0.707
O 0.112 0.755 0.322
O 0.116 0.524 0.488
O 0.171 0.205 0.920
O 0.184 0.027 0.443
O 0.184 0.975 0.174
O 0.220 0.487 0.954
O 0.262 0.501 0.239
O 0.272 0.313 0.507
O 0.296 0.972 0.931
O 0.339 0.122 0.715
O 0.343 0.728 0.098
O 0.458 0.229 0.963
O 0.467 0.140 0.444
O 0.484 0.499 0.084
O 0.487 0.007 0.184
O 0.496 0.289 0.237
O 0.714 0.154 0.334
O 0.715 0.351 0.075
O 0.940 0.205 0.149
O 0.943 0.968 0.280
O 0.952 0.358 0.938
O 0.961 0.484 0.205

Summary:
Its formation energy is -3.17 eV per atom.


Computed, not measured: an optimized crystal structure of CaAl9Co2 at the PBE level of DFT.

Unit cell a=7.8910 b=7.8910 c=3.8599 alpha=90.00 beta=90.00 gamma=120.00
Space group P6/mmm (No. 191)
Inequivalent atoms, fractional coordinates:
Ca 0.0000 0.0000 0.0000
Al 0.0000 0.5000 0.0000
Al 0.2125 0.4250 0.5000
Co 0.3333 0.6667 0.0000

Summary:
Its formation energy is -0.38 eV per atom.


Computed, not measured: an optimized crystal structure of Ca4Al51Cr7 at the PBE level of DFT.

Unit cell a=10.2245 b=10.2245 c=11.4774 alpha=90.00 beta=90.00 gamma=120.00
Space group P-3m1 (No. 164)
Inequivalent atoms, fractional coordinates:
Ca 0.3333 0.6667 0.0848
Ca 0.3333 0.6667 0.4035
Al 0.0000 0.3591 0.0000
Al 0.0000 0.5000 0.5000
Al 0.0678 0.3978 0.2540
Al 0.0911 0.1822 0.6709
Al 0.0918 0.1836 0.1048
Al 0.1544 0.3087 0.4562
Al 0.1558 0.5779 0.8475
Al 0.2426 0.4853 0.6437
Cr 0.0000 0.0000 0.5000
Cr 0.1690 0.3380 0.8433

Summary:
Its formation energy is -0.17 eV per atom.


Computed, not measured: an optimized crystal structure of CaAl20Cr2 at the PBE level of DFT.

Unit cell a=14.445 b=14.445 c=14.445 alpha=90.00 beta=90.00 gamma=90.00
Space group Fd-3m (No. 227, origin choice 2)
Inequivalent atoms, fractional coordinates:
Ca 0.125 0.125 0.125
Al 0.000 0.000 0.000
Al 0.012 0.375 0.875
Al 0.059 0.059 0.326
Cr 0.000 0.000 0.500

Summary:
Its formation energy is -0.12 eV per atom.


Computed, not measured: an optimized crystal structure of Cs2CaAl4Si4O16 at the PBE level of DFT.

Unit cell a=12.236 b=12.351 c=12.552 alpha=88.45 beta=89.53 gamma=89.91
Space group P1 (No. 1)
Inequivalent atoms, fractional coordinates:
Cs 0.000 0.000 0.000
Cs 0.017 0.515 0.463
Cs 0.265 0.210 0.489
Cs 0.407 0.590 0.876
Cs 0.498 0.946 0.423
Cs 0.719 0.111 0.591
Ca 0.325 0.303 0.764
Ca 0.671 0.330 0.796
Ca 0.697 0.672 0.740
Al 0.138 0.470 0.795
Al 0.140 0.296 0.986
Al 0.315 0.494 0.591
Al 0.496 0.667 0.592
Al 0.505 0.288 0.339
Al 0.506 0.115 0.802
Al 0.507 0.845 0.147
Al 0.511 0.293 0.587
Al 0.521 0.854 0.786
Al 0.693 0.110 0.972
Al 0.696 0.470 0.588
Al 0.873 0.484 0.806
Si 0.135 0.486 0.157
Si 0.138 0.662 0.965
Si 0.313 0.101 0.982
Si 0.319 0.480 0.342
Si 0.325 0.848 0.964
Si 0.497 0.099 0.154
Si 0.509 0.658 0.341
Si 0.696 0.476 0.345
Si 0.701 0.852 0.967
Si 0.876 0.299 0.988
Si 0.881 0.669 0.972
Si 0.882 0.484 0.157
O 0.002 0.270 0.962
O 0.002 0.468 0.762
O 0.007 0.494 0.205
O 0.010 0.704 0.961
O 0.153 0.373 0.100
O 0.156 0.592 0.077
O 0.169 0.591 0.863
O 0.199 0.166 0.991
O 0.199 0.366 0.876
O 0.214 0.495 0.260
O 0.214 0.771 0.962
O 0.215 0.443 0.680
O 0.262 0.489 0.460
O 0.278 0.974 0.959
O 0.372 0.613 0.633
O 0.378 0.112 0.093
O 0.380 0.363 0.332
O 0.386 0.147 0.879
O 0.389 0.820 0.072
O 0.401 0.823 0.860
O 0.404 0.579 0.317
O 0.407 0.385 0.609
O 0.480 0.210 0.699
O 0.499 0.181 0.252
O 0.499 0.710 0.458
O 0.502 0.975 0.202
O 0.504 0.223 0.469
O 0.513 0.758 0.258
O 0.530 0.990 0.751
O 0.542 0.768 0.679
O 0.594 0.121 0.069
O 0.607 0.576 0.617
O 0.622 0.586 0.333
O 0.623 0.369 0.329
O 0.623 0.831 0.067
O 0.632 0.166 0.854
O 0.644 0.805 0.857
O 0.645 0.338 0.617
O 0.740 0.977 0.948
O 0.757 0.475 0.462
O 0.774 0.485 0.706
O 0.798 0.488 0.257
O 0.808 0.187 0.999
O 0.817 0.783 0.985
O 0.821 0.375 0.890
O 0.837 0.612 0.864
O 0.862 0.586 0.074
O 0.866 0.370 0.097

Summary:
Its formation energy is -3.19 eV per atom. As for the energy above the lowest structure with this stoichiometry: 14 meV/atom.


Computed, not measured: an optimized crystal structure of Cs2CaAl4Si4O16 at the PBE level of DFT.

Unit cell a=12.273 b=12.363 c=12.498 alpha=89.31 beta=89.86 gamma=89.47
Space group P1 (No. 1)
Inequivalent atoms, fractional coordinates:
Cs 0.000 0.000 0.000
Cs 0.014 0.349 0.562
Cs 0.261 0.488 0.711
Cs 0.592 0.418 0.125
Cs 0.615 0.922 0.635
Cs 0.839 0.638 0.398
Ca 0.287 0.738 0.936
Ca 0.291 0.089 0.883
Ca 0.904 0.710 0.878
Al 0.092 0.087 0.733
Al 0.092 0.535 0.936
Al 0.102 0.711 0.726
Al 0.105 0.272 0.291
Al 0.114 0.716 0.476
Al 0.118 0.271 0.932
Al 0.283 0.532 0.109
Al 0.286 0.885 0.733
Al 0.470 0.911 0.945
Al 0.731 0.890 0.927
Al 0.732 0.713 0.117
Al 0.912 0.916 0.727
Si 0.092 0.521 0.295
Si 0.112 0.084 0.481
Si 0.299 0.899 0.485
Si 0.300 0.278 0.110
Si 0.470 0.725 0.131
Si 0.480 0.094 0.117
Si 0.484 0.909 0.302
Si 0.736 0.082 0.104
Si 0.738 0.906 0.292
Si 0.905 0.518 0.117
Si 0.923 0.265 0.110
Si 0.925 0.911 0.477
O 0.000 0.017 0.453
O 0.002 0.237 0.009
O 0.003 0.808 0.754
O 0.061 0.616 0.825
O 0.086 0.613 0.384
O 0.091 0.401 0.351
O 0.103 0.135 0.601
O 0.112 0.651 0.602
O 0.119 0.405 0.894
O 0.120 0.186 0.401
O 0.138 0.185 0.824
O 0.192 0.535 0.213
O 0.197 0.992 0.760
O 0.215 0.585 0.993
O 0.219 0.265 0.209
O 0.220 0.005 0.470
O 0.235 0.755 0.766
O 0.235 0.790 0.456
O 0.244 0.228 0.000
O 0.341 0.402 0.088
O 0.350 0.895 0.607
O 0.367 0.907 0.849
O 0.390 0.622 0.129
O 0.407 0.919 0.406
O 0.415 0.208 0.133
O 0.426 0.806 0.033
O 0.438 0.039 0.006
O 0.461 0.794 0.243
O 0.464 0.011 0.218
O 0.593 0.684 0.110
O 0.596 0.893 0.891
O 0.609 0.128 0.106
O 0.612 0.913 0.343
O 0.755 0.792 0.232
O 0.757 0.011 0.214
O 0.761 0.009 0.001
O 0.783 0.776 0.002
O 0.791 0.583 0.134
O 0.806 0.869 0.810
O 0.814 0.188 0.104
O 0.822 0.911 0.392
O 0.865 0.916 0.593
O 0.873 0.390 0.100
O 0.964 0.039 0.767
O 0.971 0.565 0.012
O 0.974 0.533 0.228
O 0.984 0.245 0.222
O 0.996 0.801 0.461

Summary:
Its formation energy is -3.20 eV per atom. As for the energy above the lowest structure with this stoichiometry: 0 meV/atom.


Computed, not measured: an optimized crystal structure of CaAl8Cu4 at the PBE level of DFT.

Unit cell a=8.863 b=8.863 c=5.121 alpha=90.00 beta=90.00 gamma=90.00
Space group I4/mmm (No. 139)
Inequivalent atoms, fractional coordinates:
Ca 0.000 0.000 0.000
Al 0.000 0.220 0.500
Al 0.000 0.349 0.000
Cu 0.250 0.250 0.250

Summary:
Its formation energy is -0.27 eV per atom.


no.,VASP energy (eV/atom)
1,-6.91
2,-7.33
3,-4.54
4,-4.47
5,-4.30
6,-7.21
7,-7.23
8,-3.99